(i)
This record from Materials Project describes crystalline NiS2O12 at its relaxed geometry. The functional is PBE with a Hubbard U.

Values from the calculation:
SG: P-1
Volume (Å³/cell): 359
Magnetic moment (μB per formula unit): 6.0

Geometry as POSCAR:
```
NiS2O12
1.0
-6.440 0.000 0.000
-0.485 -7.420 0.000
2.686 3.011 7.518
Ni S O
1 2 12
direct
0.000 0.000 0.000
0.490 0.426 0.695
0.510 0.574 0.305
0.316 0.277 0.604
0.684 0.723 0.396
0.452 0.615 0.808
0.548 0.385 0.192
0.701 0.386 0.670
0.299 0.614 0.330
0.970 0.940 0.314
0.030 0.060 0.686
0.960 0.229 0.092
0.040 0.771 0.908
0.852 0.925 0.163
0.148 0.075 0.837
```

***

(ii)
This record from Materials Project describes crystalline NiS2O12 at its relaxed geometry. The functional is PBE with a Hubbard U.

Values from the calculation:
SG: P-1
Volume (Å³/cell): 407
Magnetic moment (μB per formula unit): 4.0

Geometry as POSCAR:
```
NiS2O12
1.0
-6.389 3.802 -0.160
-3.811 -5.692 0.649
3.365 0.487 7.859
Ni S O
1 2 12
direct
0.500 0.000 0.500
0.893 0.795 0.071
0.107 0.205 0.929
0.124 0.310 0.096
0.876 0.690 0.904
0.120 0.096 0.431
0.880 0.904 0.569
0.401 0.259 0.507
0.599 0.741 0.493
0.243 0.246 0.851
0.757 0.754 0.149
0.203 0.262 0.464
0.797 0.738 0.536
0.453 0.984 0.289
0.547 0.016 0.711
```

***

Stability order, top to bottom: (i), (ii)

***

(i)
This record from Materials Project describes crystalline Na2NiPCO7 at its relaxed geometry. The functional is PBE with a Hubbard U.

Values from the calculation:
SG: P1
Volume (Å³/cell): 611
Magnetic moment (μB per formula unit): 1.0

Geometry as POSCAR:
```
Na2NiPCO7
1.0
6.618 0.000 0.000
0.007 8.929 0.000
0.028 0.270 10.348
Na Ni P C O
8 4 4 4 28
direct
0.008 0.753 0.877
0.493 0.754 0.883
0.464 0.735 0.378
0.510 0.261 0.630
0.988 0.261 0.634
0.512 0.252 0.116
0.990 0.252 0.112
0.770 0.076 0.388
0.753 0.651 0.604
0.754 0.648 0.112
0.253 0.352 0.890
0.248 0.350 0.392
0.250 0.579 0.645
0.251 0.575 0.142
0.751 0.425 0.857
0.748 0.418 0.360
0.744 0.929 0.637
0.748 0.927 0.142
0.251 0.077 0.859
0.253 0.077 0.357
0.251 0.937 0.849
0.264 0.939 0.340
0.740 0.867 0.525
0.754 0.868 0.029
0.747 0.836 0.736
0.740 0.831 0.238
0.060 0.674 0.618
0.436 0.674 0.605
0.064 0.668 0.101
0.439 0.671 0.106
0.750 0.577 0.926
0.738 0.569 0.427
0.258 0.546 0.796
0.255 0.538 0.290
0.749 0.455 0.707
0.752 0.447 0.209
0.248 0.427 0.576
0.254 0.423 0.072
0.565 0.328 0.894
0.941 0.331 0.892
0.564 0.315 0.395
0.935 0.321 0.400
0.251 0.172 0.761
0.246 0.176 0.262
0.250 0.142 0.971
0.247 0.136 0.471
0.748 0.070 0.646
0.751 0.068 0.160
```

***

(ii)
This record from Materials Project describes crystalline Na2NiPCO7 at its relaxed geometry. The functional is PBE with a Hubbard U.

Values from the calculation:
SG: P1
Volume (Å³/cell): 607
Magnetic moment (μB per formula unit): 2.0

Geometry as POSCAR:
```
Na2NiPCO7
1.0
-5.285 3.145 -2.479
-3.333 0.706 8.185
5.028 8.992 0.840
Na Ni P C O
8 4 4 4 28
direct
0.992 0.749 0.122
0.509 0.751 0.123
0.983 0.735 0.625
0.518 0.735 0.624
0.486 0.263 0.364
0.011 0.262 0.368
0.027 0.258 0.886
0.263 0.087 0.614
0.249 0.654 0.390
0.252 0.649 0.889
0.744 0.346 0.105
0.746 0.346 0.612
0.749 0.577 0.359
0.750 0.574 0.862
0.249 0.421 0.142
0.248 0.421 0.640
0.250 0.931 0.361
0.248 0.924 0.855
0.752 0.074 0.140
0.751 0.072 0.643
0.754 0.935 0.158
0.753 0.932 0.655
0.252 0.868 0.474
0.252 0.863 0.968
0.250 0.838 0.262
0.254 0.826 0.758
0.936 0.675 0.395
0.563 0.673 0.395
0.937 0.675 0.894
0.564 0.670 0.897
0.252 0.572 0.072
0.247 0.572 0.571
0.749 0.541 0.209
0.749 0.539 0.712
0.244 0.459 0.292
0.242 0.459 0.789
0.750 0.426 0.429
0.757 0.424 0.931
0.436 0.324 0.117
0.062 0.324 0.107
0.433 0.324 0.603
0.064 0.319 0.604
0.749 0.175 0.235
0.758 0.170 0.738
0.752 0.131 0.028
0.742 0.133 0.530
0.248 0.073 0.357
0.237 0.062 0.839
```

***

Stability order, top to bottom: (i), (ii)

***

(i)
This record from Materials Project describes crystalline Li9Mn7O16 at its relaxed geometry. The functional is PBE with a Hubbard U.

Values from the calculation:
SG: P-1
Volume (Å³/cell): 299
Magnetic moment (μB per formula unit): 26.0

Geometry as POSCAR:
```
Li9Mn7O16
1.0
-0.519 2.160 -2.047
-0.334 -3.297 -5.595
-15.661 -1.093 0.841
Li Mn O
9 7 16
direct
0.551 0.879 0.685
0.812 0.375 0.437
0.040 0.881 0.179
0.188 0.625 0.563
0.449 0.121 0.315
0.701 0.641 0.066
0.299 0.359 0.934
0.960 0.119 0.821
0.000 0.000 0.000
0.629 0.757 0.880
0.371 0.243 0.120
0.879 0.252 0.626
0.121 0.748 0.374
0.500 0.000 0.500
0.731 0.504 0.246
0.269 0.496 0.754
0.141 0.792 0.793
0.320 0.298 0.532
0.567 0.799 0.284
0.701 0.551 0.660
0.944 0.048 0.406
0.186 0.548 0.157
0.869 0.306 0.044
0.476 0.040 0.902
0.056 0.952 0.594
0.299 0.449 0.340
0.524 0.960 0.098
0.680 0.702 0.468
0.859 0.208 0.207
0.131 0.694 0.956
0.814 0.452 0.843
0.433 0.201 0.716
```

***

(ii)
This record from Materials Project describes crystalline Li9Mn7O16 at its relaxed geometry. The functional is PBE with a Hubbard U.

Values from the calculation:
SG: P-1
Volume (Å³/cell): 298
Magnetic moment (μB per formula unit): 26.0

Geometry as POSCAR:
```
Li9Mn7O16
1.0
-5.133 3.592 1.639
0.901 0.644 -6.439
-1.892 -7.702 -1.402
Li Mn O
9 7 16
direct
0.625 0.188 0.438
0.642 0.685 0.943
0.887 0.074 0.833
0.880 0.567 0.313
0.113 0.926 0.167
0.120 0.433 0.687
0.375 0.812 0.562
0.358 0.315 0.057
0.000 0.500 0.000
0.753 0.125 0.123
0.247 0.875 0.877
0.754 0.624 0.631
0.000 0.000 0.500
0.246 0.376 0.369
0.495 0.747 0.243
0.505 0.253 0.757
0.461 0.024 0.171
0.461 0.525 0.669
0.682 0.881 0.504
0.668 0.373 0.005
0.951 0.789 0.899
0.956 0.277 0.415
0.209 0.656 0.290
0.206 0.156 0.787
0.791 0.344 0.710
0.794 0.844 0.213
0.049 0.211 0.101
0.044 0.723 0.585
0.318 0.119 0.496
0.332 0.627 0.995
0.539 0.976 0.829
0.539 0.475 0.331
```

***

Stability order, top to bottom: (ii), (i)

***

(i)
This record from Materials Project describes crystalline LiCr2O4 at its relaxed geometry. The functional is PBE with a Hubbard U.

Values from the calculation:
SG: Cc
Volume (Å³/cell): 284
Magnetic moment (μB per formula unit): 5.0

Geometry as POSCAR:
```
LiCr2O4
1.0
5.087 2.936 0.000
-5.087 2.936 0.000
0.000 0.130 9.515
Li Cr O
4 8 16
direct
0.336 0.668 0.896
0.998 0.998 0.996
0.998 0.998 0.496
0.668 0.336 0.396
0.665 0.834 0.210
0.328 0.664 0.483
0.171 0.342 0.215
0.170 0.834 0.210
0.834 0.170 0.710
0.664 0.328 0.983
0.834 0.665 0.710
0.342 0.171 0.715
0.669 0.835 0.607
0.486 0.528 0.338
0.337 0.672 0.103
0.998 0.997 0.312
0.997 0.998 0.812
0.154 0.328 0.604
0.478 0.958 0.336
0.041 0.529 0.338
0.827 0.155 0.105
0.155 0.827 0.605
0.958 0.478 0.836
0.529 0.041 0.838
0.672 0.337 0.603
0.835 0.669 0.107
0.528 0.486 0.838
0.328 0.154 0.104
```

***

(ii)
This record from Materials Project describes crystalline LiCr2O4 at its relaxed geometry. The functional is PBE with a Hubbard U.

Values from the calculation:
SG: Amm2
Volume (Å³/cell): 74
Magnetic moment (μB per formula unit): 5.0

Geometry as POSCAR:
```
LiCr2O4
1.0
0.000 0.000 2.926
5.070 -0.543 0.000
-0.543 5.070 0.000
Li Cr O
1 2 4
direct
0.000 0.295 0.705
0.500 0.577 0.423
0.000 0.980 0.020
0.500 0.144 0.856
0.500 0.808 0.192
0.000 0.316 0.314
0.000 0.686 0.684
```

***

Stability order, top to bottom: (i), (ii)